1.
HoCuPbS3: relaxed, PBE.

As for the total energy: -62.813 eV per cell. The value obtained for the density is 6.7 g cm⁻³. For the total magnetic moment, the calculation gives 0.000 μB/atom. Its MP2020-corrected energy is -65.8 eV per cell. Its volume is 265.0 Å³/cell. The crystal system is orthorhombic. The formation enthalpy at 0 K comes out at -1.352 eV per atom.

abc: 6.8510 6.8510 10.2284
angles: 90.00 90.00 146.49
Closest atoms and distances in Å follow each position.
Fractional positions:
Cu 0.5338 0.4662 0.7496  4 S 2.32-2.42
Cu 0.4662 0.5338 0.2496  4 S 2.32-2.42
S 0.6368 0.3632 0.5648  1 Cu 2.32
S 0.9267 0.0733 0.7503  2 Cu 2.42
S 0.6374 0.3626 0.9349  1 Cu 2.33
S 0.3626 0.6374 0.4349  1 Cu 2.33
S 0.3632 0.6368 0.0648  1 Cu 2.32
S 0.0733 0.9267 0.2503  2 Cu 2.42
Pb 0.7483 0.2517 0.2266  7 S 2.99-3.32
Pb 0.2517 0.7483 0.7266  7 S 2.99-3.32
Ho 0.9971 0.0029 0.4986  6 S 2.73-2.78
Ho 0.0029 0.9971 0.9986  6 S 2.73-2.78

***

2.
K2HfO2F5: relaxed, PBE.

As for the total energy: -460.074 eV per cell. The value obtained for the density is 3.6 g cm⁻³. For the total magnetic moment, the calculation gives 0.206 μB/atom. Its MP2020-corrected energy is -481.1 eV per cell. Its volume is 1401.6 Å³/cell. The crystal system is orthorhombic. The formation enthalpy at 0 K comes out at -2.849 eV per atom.

abc: 8.6467 11.6817 13.8761
angles: 90.00 90.00 90.00
Closest atoms and distances in Å follow each position.
Fractional positions:
F 0.2991 0.9763 0.9085  1 Hf 2.03
F 0.1159 0.9001 0.1646  1 Hf 1.98
F 0.9394 0.6099 0.2942  1 Hf 2.05
F 0.7009 0.5237 0.4085  1 Hf 2.03
F 0.4394 0.8901 0.2942  1 Hf 2.05
F 0.7009 0.0237 0.0915  1 Hf 2.03
F 0.7991 0.0237 0.5915  1 Hf 2.03
F 0.6159 0.5999 0.1646  1 Hf 1.98
F 0.1159 0.4001 0.3354  1 Hf 1.98
F 0.0606 0.8901 0.7942  1 Hf 2.05
F 0.1821 0.6984 0.6082  1 Hf 2.00
F 0.6516 0.9099 0.7724  1 Hf 2.01
F 0.0606 0.3901 0.7058  1 Hf 2.05
F 0.6821 0.3016 0.8918  1 Hf 2.00
F 0.3841 0.4001 0.8354  1 Hf 1.98
F 0.1516 0.5901 0.7724  1 Hf 2.01
F 0.5606 0.1099 0.7058  1 Hf 2.05
F 0.7991 0.5237 0.9085  1 Hf 2.03
F 0.3179 0.1984 0.3918  1 Hf 2.00
F 0.6159 0.0999 0.3354  1 Hf 1.98
F 0.3484 0.5901 0.2724  1 Hf 2.01
F 0.1516 0.0901 0.7276  1 Hf 2.01
F 0.8179 0.8016 0.1082  1 Hf 2.00
F 0.4394 0.3901 0.2058  1 Hf 2.05
F 0.3484 0.0901 0.2276  1 Hf 2.01
F 0.8841 0.5999 0.6646  1 Hf 1.98
F 0.6821 0.8016 0.6082  1 Hf 2.00
F 0.8484 0.9099 0.2724  1 Hf 2.01
F 0.3841 0.9001 0.6646  1 Hf 1.98
F 0.1821 0.1984 0.8918  1 Hf 2.00
F 0.2991 0.4763 0.5915  1 Hf 2.03
F 0.2009 0.4763 0.0915  1 Hf 2.03
F 0.6516 0.4099 0.7276  1 Hf 2.01
F 0.9394 0.1099 0.2058  1 Hf 2.05
F 0.8841 0.0999 0.8354  1 Hf 1.98
F 0.2009 0.9763 0.4085  1 Hf 2.03
F 0.8179 0.3016 0.3918  1 Hf 2.00
F 0.8484 0.4099 0.2276  1 Hf 2.01
F 0.3179 0.6984 0.1082  1 Hf 2.00
F 0.5606 0.6099 0.7942  1 Hf 2.05
K 0.9030 0.5855 0.0976  6 F 2.63-2.88
K 0.1661 0.2660 0.1793  5 F 2.67-2.80, 1 O 2.84
K 0.0970 0.4145 0.9024  6 F 2.63-2.88
K 0.4030 0.9145 0.0976  6 F 2.63-2.88
K 0.4030 0.4145 0.4024  6 F 2.63-2.88
K 0.6661 0.2340 0.1793  5 F 2.67-2.80, 1 O 2.84
K 0.8339 0.2340 0.6793  5 F 2.67-2.80, 1 O 2.84
K 0.3339 0.7660 0.8207  5 F 2.67-2.80, 1 O 2.84
K 0.1661 0.7660 0.3207  5 F 2.67-2.80, 1 O 2.84
K 0.6661 0.7340 0.3207  5 F 2.67-2.80, 1 O 2.84
K 0.3339 0.2660 0.6793  5 F 2.67-2.80, 1 O 2.84
K 0.9030 0.0855 0.4024  6 F 2.63-2.88
K 0.5970 0.5855 0.5976  6 F 2.63-2.88
K 0.0970 0.9145 0.5976  6 F 2.63-2.88
K 0.5970 0.0855 0.9024  6 F 2.63-2.88
K 0.8339 0.7340 0.8207  5 F 2.67-2.80, 1 O 2.84
O 0.4735 0.5534 0.9815  1 O 1.42
O 0.3870 0.7097 0.4641  1 F 2.67, 2 K 2.84-2.97
O 0.6130 0.7903 0.9641  1 F 2.67, 2 K 2.84-2.97
O 0.3870 0.2097 0.0359  1 F 2.67, 2 K 2.84-2.97
O 0.5265 0.4466 0.0185  1 O 1.42
O 0.0265 0.5534 0.4815  1 O 1.42
O 0.1130 0.2097 0.5359  1 F 2.67, 2 K 2.84-2.97
O 0.5265 0.9466 0.4815  1 O 1.42
O 0.6130 0.2903 0.5359  1 F 2.67, 2 K 2.84-2.97
O 0.4735 0.0534 0.5185  1 O 1.42
O 0.9735 0.9466 0.9815  1 O 1.42
O 0.9735 0.4466 0.5185  1 O 1.42
O 0.8870 0.7903 0.4641  1 F 2.67, 2 K 2.84-2.97
O 0.8870 0.2903 0.0359  1 F 2.67, 2 K 2.84-2.97
O 0.0265 0.0534 0.0185  1 O 1.42
O 0.1130 0.7097 0.9641  1 F 2.67, 2 K 2.84-2.97
Hf 0.5955 0.9567 0.6371  5 F 1.98-2.05
Hf 0.9045 0.9567 0.1371  5 F 1.98-2.05
Hf 0.4045 0.0433 0.3629  5 F 1.98-2.05
Hf 0.9045 0.4567 0.3629  5 F 1.98-2.05
Hf 0.0955 0.0433 0.8629  5 F 1.98-2.05
Hf 0.4045 0.5433 0.1371  5 F 1.98-2.05
Hf 0.0955 0.5433 0.6371  5 F 1.98-2.05
Hf 0.5955 0.4567 0.8629  5 F 1.98-2.05

***

3.
ScNbNi2Sn2: relaxed, PBE.

As for the total energy: -39.166 eV per cell. The value obtained for the density is 7.3 g cm⁻³. For the total magnetic moment, the calculation gives 0.000 μB/atom. Its volume is 111.6 Å³/cell. Its maximum piezoelectric response is 0.27 C/m². The crystal system is trigonal. The formation enthalpy at 0 K comes out at -0.526 eV per atom.

abc: 7.4515 7.4515 7.4515
angles: 33.40 33.40 33.40
Closest atoms and distances in Å follow each position.
Fractional positions:
Ni 0.6210 0.6210 0.6210  1 Nb 2.52, 4 Sn 2.60-2.72, 3 Sc 2.65
Ni 0.1286 0.1286 0.1286  4 Sn 2.55-2.65, 3 Nb 2.61, 1 Sc 2.73
Sn 0.7500 0.7500 0.7500  4 Ni 2.65-2.72
Sn 0.2496 0.2496 0.2496  4 Ni 2.55-2.60
Nb 0.5014 0.5014 0.5014  4 Ni 2.52-2.61
Sc 0.9993 0.9993 0.9993  4 Ni 2.65-2.73

***

4.
MgSi2: relaxed, PBE.

As for the total energy: -96.915 eV per cell. The value obtained for the density is 2.3 g cm⁻³. For the total magnetic moment, the calculation gives 0.000 μB/atom. For the energy above the lowest structure with this stoichiometry, the calculation gives 81.9 meV per atom. Its MP2020-corrected energy is -95.8 eV per cell. Its volume is 455.8 Å³/cell. The crystal system is triclinic. The formation enthalpy at 0 K comes out at 0.160 eV per atom.

abc: 6.3156 6.4983 11.1094
angles: 89.18 89.91 88.95
Closest atoms and distances in Å follow each position.
Fractional positions:
Si 0.1107 0.9182 0.5763  2 Si 2.39
Si 0.1266 0.4388 0.4245  2 Si 2.40-2.43, 1 Mg 2.65
Si 0.8010 0.6038 0.8948  3 Si 2.39-2.41
Si 0.4463 0.7310 0.1159  4 Si 2.34-2.52
Si 0.6262 0.2739 0.5892  3 Si 2.40-2.47
Si 0.9554 0.2656 0.8885  4 Si 2.39-2.46
Si 0.3225 0.0730 0.1194  3 Si 2.34-2.43
Si 0.3281 0.2400 0.9225  3 Si 2.36-2.43
Si 0.4879 0.9278 0.5861  3 Si 2.39-2.46
Si 0.9500 0.0664 0.0782  3 Si 2.37-2.46
Si 0.4245 0.5886 0.9131  3 Si 2.36-2.45
Si 0.8265 0.7260 0.0983  3 Si 2.37-2.41
Si 0.9727 0.2184 0.6731  3 Si 2.39-2.42
Si 0.7492 0.4341 0.3989  3 Si 2.39-2.47
Si 0.2622 0.7383 0.3174  3 Si 2.39-2.52
Si 0.6110 0.7791 0.3958  3 Si 2.39-2.46
Mg 0.1283 0.8710 0.8274  6 Si 2.76-2.97
Mg 0.8138 0.6413 0.6357  6 Si 2.70-3.00
Mg 0.6291 0.9886 0.8154  4 Si 2.74-2.89
Mg 0.4111 0.1512 0.3674  7 Si 2.65-2.94
Mg 0.1191 0.4373 0.1728  6 Si 2.72-2.90
Mg 0.2906 0.5121 0.6579  5 Si 2.72-3.01
Mg 0.9423 0.0303 0.3449  5 Si 2.73-2.97
Mg 0.6453 0.3451 0.1558  5 Si 2.76-2.85, 2 Mg 3.05-3.07

***

5.
NdMn4Co8: relaxed, PBE.

As for the total energy: -97.720 eV per cell. The value obtained for the density is 8.6 g cm⁻³. For the total magnetic moment, the calculation gives 1.224 μB/atom. Its volume is 162.2 Å³/cell. The crystal system is tetragonal. The formation enthalpy at 0 K comes out at 0.043 eV per atom.

abc: 4.5372 6.3954 6.3954
angles: 82.77 69.22 69.22
Closest atoms and distances in Å follow each position.
Fractional positions:
Co 0.0000 0.6392 0.3608  5 Co 2.35-2.55, 4 Mn 2.58
Co 0.3608 0.6392 0.6392  5 Co 2.35-2.55, 4 Mn 2.58
Co 0.5000 0.7681 0.2319  4 Mn 2.40, 4 Co 2.52-2.55
Co 0.6392 0.3608 0.3608  5 Co 2.35-2.55, 4 Mn 2.58
Co 0.2681 0.2319 0.2319  4 Mn 2.40, 4 Co 2.52-2.55
Co 0.7319 0.7681 0.7681  4 Mn 2.40, 4 Co 2.52-2.55
Co 0.5000 0.2319 0.7681  4 Mn 2.40, 4 Co 2.52-2.55
Co 0.0000 0.3608 0.6392  5 Co 2.35-2.55, 4 Mn 2.58
Mn 0.5000 0.5000 0.0000  2 Mn 2.27, 4 Co 2.40
Mn 0.5000 0.0000 0.5000  2 Mn 2.27, 4 Co 2.40
Mn 0.0000 0.5000 0.0000  2 Mn 2.27, 4 Co 2.40
Mn 0.0000 0.0000 0.5000  2 Mn 2.27, 4 Co 2.40
Nd 0.0000 0.0000 0.0000  12 Co 3.00-3.05, 8 Mn 3.20

***

6.
NaYScPS2O12: relaxed, PBE.

As for the total energy: -775.161 eV per cell. The value obtained for the density is 2.7 g cm⁻³. For the total magnetic moment, the calculation gives 0.000 μB/atom. Its MP2020-corrected energy is -824.6 eV per cell. Its volume is 1645.0 Å³/cell. The crystal system is triclinic. The formation enthalpy at 0 K comes out at -2.792 eV per atom.

abc: 8.9802 8.9834 23.5450
angles: 89.99 89.88 120.00
Closest atoms and distances in Å follow each position.
Fractional positions:
O 0.2004 0.0230 0.5894  1 S 1.49
O 0.6583 0.1506 0.4293  1 P 1.55
O 0.9914 0.8118 0.0843  1 P 1.55
O 0.9722 0.7777 0.7986  1 S 1.48
O 0.0128 0.2104 0.2000  1 S 1.47
O 0.5035 0.6422 0.5762  1 P 1.57
O 0.6405 0.5109 0.6360  1 P 1.54
O 0.5067 0.8530 0.0775  1 S 1.49
O 0.4560 0.1464 0.5321  1 S 1.48
O 0.3604 0.4705 0.3672  1 S 1.47
O 0.5324 0.6819 0.2567  1 S 1.48
O 0.5288 0.8953 0.3660  1 P 1.54
O 0.4687 0.3599 0.1340  1 S 1.48
O 0.8606 0.5140 0.4278  1 S 1.49
O 0.9823 0.1814 0.5886  1 S 1.50
O 0.0203 0.8235 0.4145  1 S 1.50
O 0.7848 0.8049 0.2005  1 S 1.47
O 0.1652 0.9753 0.9156  1 P 1.54
O 0.1924 0.1924 0.0859  1 S 1.49
O 0.2214 0.1924 0.7984  1 S 1.48
O 0.9845 0.1851 0.3034  1 S 1.48
O 0.8163 0.0115 0.0869  1 S 1.48
O 0.4705 0.3100 0.7399  1 S 1.49
O 0.6369 0.1079 0.1341  1 S 1.48
O 0.6903 0.5348 0.5303  1 P 1.54
O 0.1982 0.9905 0.1985  1 P 1.54
O 0.8171 0.9855 0.4124  1 P 1.55
O 0.4496 0.3160 0.0318  1 S 1.47
O 0.5319 0.6774 0.9691  1 S 1.48
O 0.8534 0.3081 0.5321  1 S 1.48
O 0.8822 0.5258 0.1365  1 P 1.54
O 0.1775 0.1960 0.4142  1 S 1.49
O 0.4745 0.1682 0.2523  1 P 1.55
O 0.8720 0.3578 0.9190  1 S 1.49
O 0.6984 0.5376 0.2509  1 S 1.49
O 0.6464 0.5162 0.9201  1 S 1.48
O 0.3577 0.5020 0.0764  1 S 1.48
O 0.8619 0.5401 0.0297  1 P 1.53
O 0.7951 0.8272 0.9163  1 S 1.49
O 0.0146 0.8127 0.6960  1 S 1.48
O 0.1342 0.4922 0.5761  1 S 1.49
O 0.1297 0.4712 0.8648  1 S 1.47
O 0.6807 0.1311 0.0318  1 S 1.47
O 0.8437 0.3084 0.2513  1 S 1.49
O 0.4915 0.1416 0.9193  1 P 1.54
O 0.1061 0.6351 0.3680  1 S 1.48
O 0.3095 0.4566 0.4691  1 S 1.48
O 0.3190 0.8532 0.9702  1 P 1.56
O 0.1466 0.4644 0.9683  1 S 1.48
O 0.0277 0.2023 0.9160  1 S 1.49
O 0.3442 0.8739 0.8628  1 P 1.54
O 0.5441 0.8488 0.4709  1 P 1.56
O 0.1936 0.0124 0.3060  1 P 1.56
O 0.1876 0.1973 0.6957  1 S 1.48
O 0.8357 0.5292 0.7398  1 S 1.48
O 0.1477 0.6891 0.4696  1 S 1.48
O 0.3129 0.8414 0.2556  1 P 1.55
O 0.8792 0.3587 0.6340  1 S 1.48
O 0.8282 0.8047 0.5892  1 P 1.56
O 0.3534 0.8652 0.5765  1 S 1.50
O 0.6893 0.1706 0.7387  1 P 1.55
O 0.5300 0.8454 0.7472  1 P 1.55
O 0.4799 0.1189 0.6341  1 S 1.48
O 0.1458 0.6808 0.7483  1 S 1.49
O 0.5271 0.6520 0.8656  1 S 1.47
O 0.8079 0.9907 0.6945  1 P 1.55
O 0.3106 0.4616 0.7486  1 S 1.49
O 0.8114 0.8001 0.3037  1 S 1.48
O 0.8091 0.0300 0.8010  1 P 1.54
O 0.4878 0.3489 0.4266  1 S 1.49
O 0.1559 0.4634 0.2568  1 S 1.48
O 0.1510 0.6470 0.0779  1 P 1.56
Y 0.0056 0.9938 0.1480  6 O 2.11-2.30
Y 0.6668 0.3330 0.9810  6 O 2.14-2.27
Y 0.3385 0.6802 0.3187  6 O 2.14-2.33
Y 0.3406 0.6798 0.8106  6 O 2.12-2.35
Y 0.9980 0.0004 0.8506  6 O 2.18-2.30
Y 0.6664 0.3331 0.1861  6 O 2.18-2.30
S 0.7084 0.7077 0.2532  4 O 1.47-1.49
S 0.9914 0.7012 0.7454  4 O 1.48-1.49
S 0.3342 0.3696 0.4194  4 O 1.47-1.49
S 0.6232 0.6684 0.9182  4 O 1.47-1.49
S 0.3729 0.0399 0.5831  4 O 1.48-1.50
S 0.6607 0.0271 0.0825  4 O 1.47-1.49
S 0.0458 0.3760 0.9170  4 O 1.47-1.49
S 0.0005 0.2910 0.2529  4 O 1.47-1.49
S 0.0356 0.6659 0.4206  4 O 1.48-1.50
S 0.2958 0.2895 0.7451  4 O 1.48-1.49
S 0.3685 0.3438 0.0821  4 O 1.47-1.49
S 0.9622 0.3366 0.5828  4 O 1.48-1.50
Sc 0.6651 0.3328 0.6815  6 O 2.03-2.16
Sc 0.3539 0.6756 0.5183  4 O 1.98-2.19
Sc 0.0032 0.0008 0.3542  6 O 2.01-2.20
Sc 0.3238 0.6748 0.0175  5 O 1.97-2.18
Sc 0.6683 0.3346 0.4843  6 O 2.02-2.17
Sc 0.9846 0.9918 0.6455  5 O 1.96-2.18
Na 0.9832 0.9899 0.4993  6 O 2.52-2.80
Na 0.6525 0.3104 0.3359  5 O 2.46-2.74
Na 0.3510 0.6730 0.6636  6 O 2.53-2.74
Na 0.6560 0.3087 0.8304  6 O 2.57-2.85
Na 0.3177 0.6742 0.1648  5 O 2.48-2.76
Na 0.0083 0.9847 0.9996  5 O 2.45-2.72
P 0.7099 0.0101 0.7457  4 O 1.54-1.55
P 0.2950 0.0040 0.2537  4 O 1.54-1.56
P 0.6661 0.6221 0.5830  4 O 1.54-1.57
P 0.6381 0.9707 0.4197  4 O 1.54-1.56
P 0.9694 0.6296 0.0822  4 O 1.53-1.56
P 0.3297 0.9612 0.9171  4 O 1.54-1.56

***

> What is the formula in the first record?

HoCuPbS3